(1)
{
  "formula": "LiAuC4S4O12F12",
  "functional": "PBE",
  "state": "relaxed",
  "lattice_angstrom": [[5.310, 0.000, 0.000], [-0.632, 8.810, 0.000], [-0.477, -0.800, 10.726]],
  "species": ["Li", "Au", "C", "C", "C", "C", "S", "S", "S", "S", "O", "O", "O", "O", "O", "O", "O", "O", "O", "O", "O", "O", "F", "F", "F", "F", "F", "F", "F", "F", "F", "F", "F", "F"],
  "fractional_positions": [[0.000, 0.000, 0.000], [0.500, 0.500, 0.000], [0.161, 0.332, 0.342], [0.449, 0.171, 0.681], [0.551, 0.829, 0.319], [0.839, 0.668, 0.658], [0.091, 0.341, 0.170], [0.476, 0.164, 0.855], [0.524, 0.836, 0.145], [0.909, 0.659, 0.830], [0.032, 0.807, 0.870], [0.045, 0.526, 0.845], [0.219, 0.150, 0.893], [0.358, 0.955, 0.123], [0.364, 0.356, 0.127], [0.383, 0.682, 0.105], [0.617, 0.318, 0.895], [0.636, 0.644, 0.873], [0.642, 0.045, 0.877], [0.781, 0.850, 0.107], [0.955, 0.474, 0.155], [0.968, 0.193, 0.130], [0.063, 0.684, 0.603], [0.291, 0.461, 0.390], [0.295, 0.212, 0.364], [0.318, 0.290, 0.653], [0.320, 0.815, 0.365], [0.323, 0.041, 0.631], [0.677, 0.959, 0.369], [0.680, 0.185, 0.635], [0.682, 0.710, 0.347], [0.705, 0.788, 0.636], [0.709, 0.539, 0.610], [0.937, 0.316, 0.397]],
  "energy_ev_per_atom": -5.47,
  "sg": "No. 2",
  "formation_energy_mev_per_atom": -1724
}

(2)
{
  "formula": "RbAuC4S4O12F12",
  "functional": "PBE",
  "state": "relaxed",
  "lattice_angstrom": [[9.628, 0.000, 0.000], [0.000, 21.922, 0.000], [-9.585, 0.000, 11.228]],
  "species": ["Rb", "Rb", "Rb", "Rb", "Au", "Au", "Au", "Au", "C", "C", "C", "C", "C", "C", "C", "C", "C", "C", "C", "C", "C", "C", "C", "C", "S", "S", "S", "S", "S", "S", "S", "S", "S", "S", "S", "S", "S", "S", "S", "S", "O", "O", "O", "O", "O", "O", "O", "O", "O", "O", "O", "O", "O", "O", "O", "O", "O", "O", "O", "O", "O", "O", "O", "O", "O", "O", "O", "O", "O", "O", "O", "O", "O", "O", "O", "O", "O", "O", "O", "O", "O", "O", "O", "O", "O", "O", "O", "O", "F", "F", "F", "F", "F", "F", "F", "F", "F", "F", "F", "F", "F", "F", "F", "F", "F", "F", "F", "F", "F", "F", "F", "F", "F", "F", "F", "F", "F", "F", "F", "F", "F", "F", "F", "F", "F", "F", "F", "F", "F", "F", "F", "F", "F", "F", "F", "F"],
  "fractional_positions": [[0.097, 0.249, 0.112], [0.097, 0.251, 0.612], [0.903, 0.749, 0.388], [0.903, 0.751, 0.888], [0.401, 0.750, 0.387], [0.401, 0.750, 0.887], [0.599, 0.250, 0.113], [0.599, 0.250, 0.613], [0.108, 0.584, 0.753], [0.108, 0.916, 0.253], [0.297, 0.085, 0.474], [0.297, 0.415, 0.974], [0.390, 0.585, 0.534], [0.390, 0.915, 0.034], [0.419, 0.583, 0.249], [0.419, 0.917, 0.749], [0.581, 0.083, 0.251], [0.581, 0.417, 0.751], [0.610, 0.085, 0.966], [0.610, 0.415, 0.466], [0.703, 0.585, 0.026], [0.703, 0.915, 0.526], [0.892, 0.084, 0.747], [0.892, 0.416, 0.247], [0.076, 0.665, 0.700], [0.076, 0.835, 0.200], [0.270, 0.166, 0.425], [0.270, 0.334, 0.925], [0.351, 0.665, 0.199], [0.351, 0.835, 0.699], [0.453, 0.667, 0.578], [0.453, 0.833, 0.078], [0.547, 0.167, 0.922], [0.547, 0.333, 0.422], [0.649, 0.165, 0.301], [0.649, 0.335, 0.801], [0.730, 0.666, 0.075], [0.730, 0.834, 0.575], [0.924, 0.165, 0.800], [0.924, 0.335, 0.300], [0.011, 0.698, 0.751], [0.011, 0.802, 0.251], [0.033, 0.160, 0.927], [0.033, 0.340, 0.427], [0.162, 0.163, 0.298], [0.162, 0.337, 0.798], [0.205, 0.661, 0.072], [0.205, 0.839, 0.572], [0.207, 0.199, 0.476], [0.207, 0.301, 0.976], [0.269, 0.684, 0.258], [0.269, 0.816, 0.758], [0.273, 0.684, 0.757], [0.273, 0.816, 0.257], [0.284, 0.699, 0.525], [0.284, 0.801, 0.025], [0.402, 0.166, 0.795], [0.402, 0.334, 0.295], [0.467, 0.185, 0.982], [0.467, 0.315, 0.482], [0.469, 0.184, 0.483], [0.469, 0.316, 0.983], [0.482, 0.197, 0.250], [0.482, 0.303, 0.750], [0.518, 0.697, 0.250], [0.518, 0.803, 0.750], [0.531, 0.684, 0.017], [0.531, 0.816, 0.517], [0.533, 0.685, 0.518], [0.533, 0.815, 0.018], [0.598, 0.666, 0.705], [0.598, 0.834, 0.205], [0.716, 0.199, 0.975], [0.716, 0.301, 0.475], [0.727, 0.184, 0.743], [0.727, 0.316, 0.243], [0.731, 0.184, 0.242], [0.731, 0.316, 0.742], [0.793, 0.699, 0.024], [0.793, 0.801, 0.524], [0.795, 0.161, 0.428], [0.795, 0.339, 0.928], [0.838, 0.663, 0.202], [0.838, 0.837, 0.702], [0.967, 0.660, 0.573], [0.967, 0.840, 0.073], [0.989, 0.198, 0.749], [0.989, 0.302, 0.249], [0.057, 0.061, 0.794], [0.057, 0.439, 0.294], [0.130, 0.063, 0.425], [0.130, 0.437, 0.925], [0.182, 0.550, 0.718], [0.182, 0.950, 0.218], [0.217, 0.583, 0.873], [0.217, 0.917, 0.373], [0.263, 0.580, 0.415], [0.263, 0.920, 0.915], [0.274, 0.550, 0.212], [0.274, 0.950, 0.712], [0.320, 0.564, 0.583], [0.320, 0.936, 0.083], [0.367, 0.051, 0.436], [0.367, 0.449, 0.936], [0.407, 0.082, 0.593], [0.407, 0.418, 0.093], [0.451, 0.081, 0.132], [0.451, 0.419, 0.632], [0.461, 0.053, 0.924], [0.461, 0.447, 0.424], [0.489, 0.561, 0.200], [0.489, 0.939, 0.700], [0.511, 0.061, 0.300], [0.511, 0.439, 0.800], [0.539, 0.553, 0.576], [0.539, 0.947, 0.076], [0.549, 0.581, 0.368], [0.549, 0.919, 0.868], [0.593, 0.582, 0.907], [0.593, 0.918, 0.407], [0.633, 0.551, 0.064], [0.633, 0.949, 0.564], [0.680, 0.064, 0.917], [0.680, 0.436, 0.417], [0.726, 0.050, 0.288], [0.726, 0.450, 0.788], [0.737, 0.080, 0.085], [0.737, 0.420, 0.585], [0.783, 0.083, 0.627], [0.783, 0.417, 0.127], [0.818, 0.050, 0.782], [0.818, 0.450, 0.282], [0.870, 0.563, 0.075], [0.870, 0.937, 0.575], [0.943, 0.561, 0.706], [0.943, 0.939, 0.206]],
  "energy_ev_per_atom": -5.45,
  "sg": "No. 14",
  "formation_energy_mev_per_atom": -1741
}

(3)
{
  "formula": "H12AuC4N",
  "functional": "PBE",
  "state": "relaxed",
  "lattice_angstrom": [[7.833, 0.000, 0.000], [0.000, 7.833, 0.000], [0.000, 0.000, 5.488]],
  "species": ["H", "H", "H", "H", "H", "H", "H", "H", "H", "H", "H", "H", "H", "H", "H", "H", "H", "H", "H", "H", "H", "H", "H", "H", "Au", "Au", "C", "C", "C", "C", "C", "C", "C", "C", "N", "N"],
  "fractional_positions": [[0.019, 0.250, 0.033], [0.092, 0.635, 0.731], [0.092, 0.865, 0.731], [0.135, 0.592, 0.269], [0.135, 0.908, 0.269], [0.250, 0.019, 0.033], [0.250, 0.481, 0.033], [0.365, 0.592, 0.269], [0.365, 0.908, 0.269], [0.408, 0.635, 0.731], [0.408, 0.865, 0.731], [0.481, 0.250, 0.033], [0.519, 0.750, 0.967], [0.592, 0.135, 0.269], [0.592, 0.365, 0.269], [0.635, 0.092, 0.731], [0.635, 0.408, 0.731], [0.750, 0.519, 0.967], [0.750, 0.981, 0.967], [0.865, 0.092, 0.731], [0.865, 0.408, 0.731], [0.908, 0.135, 0.269], [0.908, 0.365, 0.269], [0.981, 0.750, 0.967], [0.250, 0.250, 0.637], [0.750, 0.750, 0.363], [0.092, 0.750, 0.845], [0.250, 0.592, 0.155], [0.250, 0.908, 0.155], [0.408, 0.750, 0.845], [0.592, 0.250, 0.155], [0.750, 0.092, 0.845], [0.750, 0.408, 0.845], [0.908, 0.250, 0.155], [0.250, 0.750, 0.000], [0.750, 0.250, 0.000]],
  "energy_ev_per_atom": -5.00,
  "sg": "No. 129",
  "formation_energy_mev_per_atom": -64
}

(4)
{
  "formula": "H24AuC16S2N3O4",
  "functional": "PBE",
  "state": "relaxed",
  "lattice_angstrom": [[10.708, 0.000, 0.000], [-2.407, 10.887, 0.000], [-1.041, -4.706, 10.378]],
  "species": ["H", "H", "H", "H", "H", "H", "H", "H", "H", "H", "H", "H", "H", "H", "H", "H", "H", "H", "H", "H", "H", "H", "H", "H", "H", "H", "H", "H", "H", "H", "H", "H", "H", "H", "H", "H", "H", "H", "H", "H", "H", "H", "H", "H", "H", "H", "H", "H", "Au", "Au", "C", "C", "C", "C", "C", "C", "C", "C", "C", "C", "C", "C", "C", "C", "C", "C", "C", "C", "C", "C", "C", "C", "C", "C", "C", "C", "C", "C", "C", "C", "C", "C", "S", "S", "S", "S", "N", "N", "N", "N", "N", "N", "O", "O", "O", "O", "O", "O", "O", "O"],
  "fractional_positions": [[0.006, 0.009, 0.136], [0.027, 0.880, 0.187], [0.045, 0.785, 0.697], [0.064, 0.420, 0.247], [0.078, 0.230, 0.429], [0.090, 0.799, 0.555], [0.107, 0.442, 0.107], [0.129, 0.298, 0.132], [0.141, 0.044, 0.259], [0.196, 0.635, 0.385], [0.243, 0.669, 0.252], [0.248, 0.444, 0.418], [0.311, 0.328, 0.295], [0.328, 0.513, 0.091], [0.352, 0.366, 0.108], [0.355, 0.953, 0.245], [0.366, 0.687, 0.381], [0.399, 0.757, 0.077], [0.412, 0.495, 0.395], [0.436, 0.230, 0.947], [0.457, 0.530, 0.213], [0.478, 0.112, 0.310], [0.478, 0.235, 0.800], [0.490, 0.985, 0.367], [0.510, 0.015, 0.633], [0.522, 0.765, 0.200], [0.522, 0.888, 0.690], [0.543, 0.470, 0.787], [0.564, 0.770, 0.053], [0.588, 0.505, 0.605], [0.601, 0.243, 0.923], [0.634, 0.313, 0.619], [0.645, 0.047, 0.755], [0.648, 0.634, 0.892], [0.672, 0.487, 0.909], [0.689, 0.672, 0.705], [0.752, 0.556, 0.582], [0.757, 0.331, 0.748], [0.804, 0.365, 0.615], [0.859, 0.956, 0.741], [0.871, 0.702, 0.868], [0.893, 0.558, 0.893], [0.910, 0.201, 0.445], [0.922, 0.770, 0.571], [0.936, 0.580, 0.753], [0.955, 0.215, 0.303], [0.973, 0.120, 0.813], [0.994, 0.991, 0.864], [0.237, 0.513, 0.753], [0.763, 0.487, 0.247], [0.024, 0.821, 0.623], [0.038, 0.988, 0.219], [0.124, 0.049, 0.650], [0.132, 0.405, 0.180], [0.164, 0.191, 0.683], [0.215, 0.024, 0.557], [0.250, 0.868, 0.927], [0.258, 0.174, 0.596], [0.268, 0.630, 0.323], [0.301, 0.017, 0.960], [0.312, 0.433, 0.347], [0.332, 0.839, 0.828], [0.358, 0.473, 0.159], [0.383, 0.980, 0.859], [0.460, 0.003, 0.282], [0.497, 0.200, 0.876], [0.503, 0.800, 0.124], [0.540, 0.997, 0.718], [0.617, 0.020, 0.141], [0.642, 0.527, 0.841], [0.668, 0.161, 0.172], [0.688, 0.567, 0.653], [0.699, 0.983, 0.040], [0.732, 0.370, 0.677], [0.742, 0.826, 0.404], [0.750, 0.132, 0.073], [0.785, 0.976, 0.443], [0.836, 0.809, 0.317], [0.868, 0.595, 0.820], [0.876, 0.951, 0.350], [0.962, 0.012, 0.781], [0.976, 0.179, 0.377], [0.121, 0.328, 0.783], [0.353, 0.694, 0.719], [0.647, 0.306, 0.281], [0.879, 0.672, 0.217], [0.040, 0.966, 0.683], [0.267, 0.485, 0.252], [0.468, 0.053, 0.818], [0.532, 0.947, 0.182], [0.733, 0.515, 0.748], [0.960, 0.034, 0.317], [0.172, 0.799, 0.966], [0.241, 0.923, 0.482], [0.283, 0.123, 0.035], [0.339, 0.252, 0.568], [0.661, 0.748, 0.432], [0.717, 0.877, 0.965], [0.759, 0.077, 0.518], [0.828, 0.201, 0.034]],
  "energy_ev_per_atom": -5.88,
  "sg": "No. 2",
  "formation_energy_mev_per_atom": -249
}

(5)
{
  "formula": "H6AuC3O2",
  "functional": "PBE",
  "state": "relaxed",
  "lattice_angstrom": [[8.365, 0.000, 0.000], [0.000, 11.688, 0.000], [-3.301, 0.000, 12.114]],
  "species": ["H", "H", "H", "H", "H", "H", "H", "H", "H", "H", "H", "H", "H", "H", "H", "H", "H", "H", "H", "H", "H", "H", "H", "H", "H", "H", "H", "H", "H", "H", "H", "H", "H", "H", "H", "H", "H", "H", "H", "H", "H", "H", "H", "H", "H", "H", "H", "H", "Au", "Au", "Au", "Au", "Au", "Au", "Au", "Au", "C", "C", "C", "C", "C", "C", "C", "C", "C", "C", "C", "C", "C", "C", "C", "C", "C", "C", "C", "C", "C", "C", "C", "C", "O", "O", "O", "O", "O", "O", "O", "O", "O", "O", "O", "O", "O", "O", "O", "O"],
  "fractional_positions": [[0.030, 0.065, 0.095], [0.030, 0.435, 0.595], [0.090, 0.169, 0.205], [0.090, 0.331, 0.705], [0.118, 0.668, 0.384], [0.118, 0.832, 0.884], [0.136, 0.111, 0.912], [0.136, 0.389, 0.412], [0.184, 0.708, 0.578], [0.184, 0.792, 0.078], [0.224, 0.708, 0.727], [0.224, 0.792, 0.227], [0.271, 0.148, 0.827], [0.271, 0.352, 0.327], [0.312, 0.022, 0.913], [0.312, 0.478, 0.413], [0.356, 0.629, 0.664], [0.356, 0.871, 0.164], [0.389, 0.117, 0.150], [0.389, 0.383, 0.650], [0.415, 0.675, 0.362], [0.415, 0.825, 0.862], [0.428, 0.231, 0.663], [0.428, 0.269, 0.163], [0.572, 0.731, 0.837], [0.572, 0.769, 0.337], [0.585, 0.175, 0.138], [0.585, 0.325, 0.638], [0.611, 0.617, 0.350], [0.611, 0.883, 0.850], [0.644, 0.129, 0.836], [0.644, 0.371, 0.336], [0.688, 0.522, 0.587], [0.688, 0.978, 0.087], [0.729, 0.648, 0.673], [0.729, 0.852, 0.173], [0.776, 0.208, 0.773], [0.776, 0.292, 0.273], [0.816, 0.208, 0.922], [0.816, 0.292, 0.422], [0.864, 0.611, 0.588], [0.864, 0.889, 0.088], [0.882, 0.168, 0.116], [0.882, 0.332, 0.616], [0.910, 0.669, 0.295], [0.910, 0.831, 0.795], [0.970, 0.565, 0.405], [0.970, 0.935, 0.905], [0.076, 0.512, 0.231], [0.076, 0.988, 0.731], [0.429, 0.655, 0.156], [0.429, 0.845, 0.656], [0.571, 0.155, 0.344], [0.571, 0.345, 0.844], [0.924, 0.012, 0.269], [0.924, 0.488, 0.769], [0.011, 0.616, 0.344], [0.011, 0.884, 0.844], [0.056, 0.054, 0.505], [0.056, 0.446, 0.005], [0.216, 0.078, 0.863], [0.216, 0.422, 0.363], [0.280, 0.706, 0.657], [0.280, 0.794, 0.157], [0.434, 0.530, 0.953], [0.434, 0.970, 0.453], [0.483, 0.184, 0.178], [0.483, 0.316, 0.678], [0.517, 0.684, 0.322], [0.517, 0.816, 0.822], [0.566, 0.030, 0.547], [0.566, 0.470, 0.047], [0.720, 0.206, 0.843], [0.720, 0.294, 0.343], [0.784, 0.578, 0.637], [0.784, 0.922, 0.137], [0.944, 0.554, 0.995], [0.944, 0.946, 0.495], [0.989, 0.116, 0.156], [0.989, 0.384, 0.656], [0.068, 0.101, 0.416], [0.068, 0.399, 0.916], [0.132, 0.090, 0.600], [0.132, 0.410, 0.100], [0.351, 0.612, 0.979], [0.351, 0.888, 0.479], [0.413, 0.007, 0.355], [0.413, 0.493, 0.855], [0.587, 0.507, 0.145], [0.587, 0.993, 0.645], [0.649, 0.112, 0.521], [0.649, 0.388, 0.021], [0.868, 0.590, 0.900], [0.868, 0.910, 0.400], [0.932, 0.601, 0.084], [0.932, 0.899, 0.584]],
  "energy_ev_per_atom": -5.40,
  "sg": "No. 14",
  "formation_energy_mev_per_atom": -411
}